{
  "formula": "BaB2H2O5",
  "functional": "GGA-PBE",
  "state": "relaxed",
  "crystal_system": "monoclinic",
  "e_form_ev_per_atom": -2.555,
  "lattice_angstrom": [[7.243, 0.000, 0.000], [0.000, 7.056, 0.000], [0.000, 0.206, 11.985]],
  "species": ["O", "O", "Ba", "H", "H", "O", "Ba", "B", "O", "O", "B", "H", "H", "B", "Ba", "B", "O", "B", "B", "O", "O", "O", "O", "O", "O", "Ba", "H", "O", "H", "O", "O", "B", "O", "B", "Ba", "H", "O", "O", "O", "H", "O", "O", "H", "O", "O", "O", "O", "B", "O", "H", "Ba", "O", "B", "O", "H", "O", "O", "B", "B", "H"],
  "fractional_positions": [[0.734, 0.034, 0.655], [0.081, 0.699, 0.415], [0.774, 0.320, 0.946], [0.553, 0.356, 0.619], [0.383, 0.644, 0.605], [0.217, 0.928, 0.542], [0.371, 0.000, 0.750], [0.237, 0.826, 0.434], [0.800, 0.623, 0.322], [0.559, 0.385, 0.323], [0.999, 0.664, 0.302], [0.617, 0.644, 0.105], [0.553, 0.644, 0.881], [0.861, 0.000, 0.750], [0.774, 0.680, 0.554], [0.763, 0.826, 0.934], [0.783, 0.072, 0.458], [0.001, 0.336, 0.698], [0.763, 0.174, 0.566], [0.092, 0.500, 0.250], [0.217, 0.072, 0.958], [0.981, 0.834, 0.727], [0.200, 0.377, 0.678], [0.800, 0.377, 0.178], [0.019, 0.834, 0.227], [0.226, 0.320, 0.446], [0.885, 0.117, 0.410], [0.584, 0.288, 0.551], [0.617, 0.356, 0.395], [0.559, 0.615, 0.177], [0.416, 0.288, 0.051], [0.237, 0.174, 0.066], [0.081, 0.301, 0.085], [0.309, 0.500, 0.750], [0.629, 0.000, 0.250], [0.115, 0.883, 0.590], [0.416, 0.712, 0.449], [0.019, 0.166, 0.273], [0.441, 0.615, 0.677], [0.885, 0.883, 0.090], [0.908, 0.500, 0.750], [0.919, 0.301, 0.585], [0.115, 0.117, 0.910], [0.266, 0.966, 0.345], [0.200, 0.623, 0.822], [0.783, 0.928, 0.042], [0.919, 0.699, 0.915], [0.999, 0.336, 0.198], [0.266, 0.034, 0.155], [0.447, 0.644, 0.381], [0.226, 0.680, 0.054], [0.981, 0.166, 0.773], [0.691, 0.500, 0.250], [0.734, 0.966, 0.845], [0.383, 0.356, 0.895], [0.441, 0.385, 0.823], [0.584, 0.712, 0.949], [0.139, 0.000, 0.250], [0.001, 0.664, 0.802], [0.447, 0.356, 0.119]]
}

---

{
  "formula": "Na3ZrAlSiP2O12",
  "functional": "GGA-PBE",
  "state": "relaxed",
  "e_above_lowest_polymorph_ev_per_atom": 0.002,
  "e_form_ev_per_atom": -2.978,
  "lattice_angstrom": [[13.014, 0.000, -8.643], [0.000, 8.902, 0.000], [-0.158, 0.000, 8.964]],
  "species": ["Na", "Si", "Na", "O", "P", "Na", "Na", "Na", "Na", "O", "P", "O", "Si", "O", "O", "O", "O", "O", "O", "Al", "O", "O", "O", "Na", "O", "O", "O", "O", "O", "O", "Si", "Na", "Zr", "O", "O", "O", "O", "O", "O", "O", "Al", "Na", "O", "O", "O", "P", "O", "O", "Al", "O", "O", "P", "P", "O", "Si", "O", "O", "Al", "Zr", "P", "Zr", "Na", "O", "P", "O", "O", "O", "O", "P", "O", "O", "Zr", "O", "O", "O", "Na", "Na", "O", "O", "O"],
  "fractional_positions": [[0.188, 0.070, 0.778], [0.141, 0.402, 0.745], [0.002, 0.604, 0.759], [0.946, 0.944, 0.093], [0.851, 0.381, 0.761], [0.502, 0.104, 0.759], [0.688, 0.430, 0.278], [0.750, 0.780, 0.493], [0.002, 0.396, 0.259], [0.428, 0.649, 0.255], [0.010, 0.956, 0.763], [0.343, 0.058, 0.765], [0.641, 0.902, 0.745], [0.131, 0.649, 0.410], [0.641, 0.086, 0.731], [0.537, 0.161, 0.055], [0.253, 0.183, 0.242], [0.453, 0.821, 0.930], [0.928, 0.149, 0.255], [0.606, 0.240, 0.562], [0.072, 0.055, 0.935], [0.572, 0.555, 0.935], [0.131, 0.351, 0.910], [0.250, 0.720, 0.993], [0.572, 0.445, 0.435], [0.239, 0.678, 0.255], [0.631, 0.149, 0.410], [0.072, 0.945, 0.435], [0.843, 0.558, 0.765], [0.087, 0.140, 0.245], [0.141, 0.598, 0.245], [0.502, 0.896, 0.259], [0.395, 0.257, 0.938], [0.343, 0.942, 0.265], [0.587, 0.640, 0.245], [0.446, 0.556, 0.593], [0.848, 0.352, 0.587], [0.843, 0.442, 0.265], [0.087, 0.860, 0.745], [0.037, 0.661, 0.055], [0.106, 0.260, 0.062], [0.188, 0.930, 0.278], [0.848, 0.648, 0.087], [0.446, 0.444, 0.093], [0.037, 0.339, 0.555], [0.510, 0.544, 0.263], [0.428, 0.351, 0.755], [0.537, 0.839, 0.555], [0.106, 0.740, 0.562], [0.739, 0.178, 0.255], [0.141, 0.414, 0.231], [0.510, 0.456, 0.763], [0.010, 0.044, 0.263], [0.753, 0.317, 0.742], [0.641, 0.098, 0.245], [0.141, 0.586, 0.731], [0.587, 0.360, 0.745], [0.606, 0.760, 0.062], [0.895, 0.757, 0.938], [0.351, 0.881, 0.761], [0.895, 0.243, 0.438], [0.750, 0.220, 0.993], [0.631, 0.851, 0.910], [0.351, 0.119, 0.261], [0.239, 0.322, 0.755], [0.253, 0.817, 0.742], [0.641, 0.914, 0.231], [0.348, 0.852, 0.587], [0.851, 0.619, 0.261], [0.946, 0.056, 0.593], [0.953, 0.321, 0.930], [0.395, 0.743, 0.438], [0.453, 0.179, 0.430], [0.753, 0.683, 0.242], [0.953, 0.679, 0.430], [0.250, 0.280, 0.493], [0.688, 0.570, 0.778], [0.928, 0.851, 0.755], [0.739, 0.822, 0.755], [0.348, 0.148, 0.087]]
}

---

{
  "formula": "CdGaCu3Se4",
  "functional": "GGA-PBE",
  "state": "relaxed",
  "crystal_system": "cubic",
  "e_form_ev_per_atom": -0.395,
  "lattice_angstrom": [[-2.476, -3.671, 3.904], [4.767, 0.455, 3.452], [-2.448, 4.601, 2.774]],
  "species": ["Se", "Cu", "Ga", "Se", "Se", "Cu", "Cu", "Se", "Cd"],
  "fractional_positions": [[0.240, 0.240, 0.240], [0.500, 0.000, 0.000], [0.000, 0.000, 0.000], [0.760, 0.240, 0.760], [0.760, 0.760, 0.240], [0.000, 0.000, 0.500], [0.000, 0.500, 0.000], [0.240, 0.760, 0.760], [0.500, 0.500, 0.500]]
}

---

{
  "formula": "RbTbS2O9",
  "functional": "GGA-PBE",
  "state": "relaxed",
  "crystal_system": "monoclinic",
  "e_form_ev_per_atom": -2.217,
  "lattice_angstrom": [[0.000, 8.601, 0.000], [9.333, 0.000, -5.353], [-8.939, 0.000, -5.025]],
  "species": ["O", "O", "O", "O", "O", "O", "O", "O", "O", "O", "O", "O", "O", "Rb", "O", "O", "O", "O", "O", "O", "O", "Tb", "Rb", "O", "Rb", "O", "Rb", "O", "O", "S", "O", "O", "S", "S", "O", "Tb", "O", "O", "Tb", "S", "O", "O", "O", "Tb", "O", "O", "S", "S", "S", "O", "S", "O"],
  "fractional_positions": [[0.400, 0.127, 0.985], [0.100, 0.627, 0.485], [0.797, 0.827, 0.236], [0.378, 0.437, 0.285], [0.987, 0.699, 0.027], [0.013, 0.301, 0.973], [0.938, 0.624, 0.213], [0.203, 0.173, 0.764], [0.487, 0.801, 0.473], [0.562, 0.124, 0.713], [0.208, 0.980, 0.021], [0.297, 0.744, 0.682], [0.096, 0.607, 0.713], [0.167, 0.181, 0.459], [0.513, 0.199, 0.527], [0.797, 0.756, 0.818], [0.292, 0.480, 0.521], [0.252, 0.417, 0.984], [0.752, 0.083, 0.516], [0.904, 0.393, 0.287], [0.622, 0.563, 0.715], [0.129, 0.472, 0.220], [0.333, 0.681, 0.959], [0.297, 0.673, 0.264], [0.833, 0.819, 0.541], [0.748, 0.583, 0.016], [0.667, 0.319, 0.041], [0.248, 0.917, 0.484], [0.703, 0.327, 0.736], [0.695, 0.887, 0.902], [0.900, 0.373, 0.515], [0.203, 0.244, 0.182], [0.368, 0.814, 0.375], [0.305, 0.113, 0.098], [0.792, 0.020, 0.979], [0.629, 0.028, 0.280], [0.404, 0.107, 0.213], [0.708, 0.520, 0.479], [0.371, 0.972, 0.720], [0.132, 0.314, 0.875], [0.062, 0.376, 0.787], [0.878, 0.063, 0.215], [0.438, 0.876, 0.287], [0.871, 0.528, 0.780], [0.703, 0.256, 0.318], [0.122, 0.937, 0.785], [0.868, 0.686, 0.125], [0.805, 0.387, 0.402], [0.195, 0.613, 0.598], [0.596, 0.893, 0.787], [0.632, 0.186, 0.625], [0.600, 0.873, 0.015]]
}

---

{
  "formula": "LaMg",
  "functional": "GGA-PBE",
  "state": "relaxed",
  "e_above_lowest_polymorph_ev_per_atom": 0.000,
  "crystal_system": "cubic",
  "e_form_ev_per_atom": -0.110,
  "lattice_angstrom": [[3.966, 0.000, 0.000], [0.000, 3.966, 0.000], [0.000, 0.000, 3.966]],
  "species": ["La", "Mg"],
  "fractional_positions": [[0.500, 0.500, 0.500], [0.000, 0.000, 0.000]]
}

---

{
  "formula": "Sm2MgCu2O6",
  "functional": "GGA-PBE",
  "state": "relaxed",
  "crystal_system": "triclinic",
  "e_form_ev_per_atom": -2.491,
  "lattice_angstrom": [[2.847, 0.344, 4.404], [5.742, -1.004, -0.596], [2.808, 5.178, 1.263]],
  "species": ["O", "O", "Sm", "O", "O", "O", "Mg", "O", "Sm", "Cu", "Cu"],
  "fractional_positions": [[0.271, 0.582, 0.865], [0.412, 0.024, 0.815], [0.805, 0.619, 0.819], [0.684, 0.825, 0.172], [0.744, 0.267, 0.143], [0.087, 0.859, 0.461], [0.701, 0.156, 0.507], [0.866, 0.402, 0.515], [0.304, 0.218, 0.161], [0.474, 0.674, 0.494], [0.040, 0.924, 0.999]]
}

---

{
  "formula": "RbGeO3",
  "functional": "GGA-PBE",
  "state": "relaxed",
  "crystal_system": "cubic",
  "e_form_ev_per_atom": -1.487,
  "lattice_angstrom": [[3.949, 0.000, 0.000], [0.000, 3.949, 0.000], [0.000, 0.000, 3.949]],
  "species": ["O", "Rb", "O", "Ge", "O"],
  "fractional_positions": [[0.500, 0.500, 0.000], [0.000, 0.000, 0.000], [0.500, 0.000, 0.500], [0.500, 0.500, 0.500], [0.000, 0.500, 0.500]]
}

---

{
  "formula": "TaPO5",
  "functional": "GGA-PBE",
  "state": "relaxed",
  "e_above_lowest_polymorph_ev_per_atom": 0.000,
  "crystal_system": "monoclinic",
  "e_form_ev_per_atom": -3.109,
  "lattice_angstrom": [[-1.151, -3.994, 3.459], [5.154, -3.634, -2.481], [7.040, 4.644, 7.705]],
  "species": ["P", "O", "P", "P", "O", "O", "Ta", "P", "O", "Ta", "O", "O", "O", "Ta", "O", "O", "O", "O", "O", "O", "O", "O", "Ta", "O", "O", "O", "O", "O"],
  "fractional_positions": [[0.750, 0.971, 0.155], [0.985, 0.643, 0.624], [0.750, 0.525, 0.653], [0.250, 0.029, 0.845], [0.250, 0.841, 0.923], [0.250, 0.963, 0.716], [0.750, 0.170, 0.438], [0.250, 0.475, 0.347], [0.016, 0.150, 0.868], [0.250, 0.830, 0.562], [0.250, 0.671, 0.415], [0.750, 0.476, 0.785], [0.750, 0.037, 0.284], [0.750, 0.332, 0.936], [0.000, 0.500, 0.000], [0.500, 0.500, 0.000], [0.484, 0.150, 0.868], [0.984, 0.850, 0.132], [0.250, 0.524, 0.215], [0.000, 0.000, 0.500], [0.485, 0.357, 0.376], [0.750, 0.329, 0.585], [0.250, 0.668, 0.064], [0.015, 0.357, 0.376], [0.515, 0.643, 0.624], [0.500, 0.000, 0.500], [0.750, 0.159, 0.077], [0.516, 0.850, 0.132]]
}

---

{
  "formula": "TiOF",
  "functional": "GGA-PBE",
  "state": "relaxed",
  "crystal_system": "monoclinic",
  "e_form_ev_per_atom": -3.394,
  "lattice_angstrom": [[-0.367, -1.755, 4.654], [5.022, -0.877, 0.066], [1.879, 4.497, 1.844]],
  "species": ["Ti", "Ti", "Ti", "F", "F", "F", "O", "Ti", "O", "F", "O", "O"],
  "fractional_positions": [[0.038, 0.314, 0.793], [0.462, 0.314, 0.293], [0.538, 0.686, 0.707], [0.680, 0.944, 0.351], [0.180, 0.056, 0.149], [0.320, 0.056, 0.649], [0.246, 0.556, 0.489], [0.962, 0.686, 0.207], [0.746, 0.444, 0.011], [0.820, 0.944, 0.851], [0.254, 0.556, 0.989], [0.754, 0.444, 0.511]]
}

---

{
  "formula": "TaN",
  "functional": "GGA-PBE",
  "state": "relaxed",
  "crystal_system": "triclinic",
  "e_form_ev_per_atom": -0.834,
  "lattice_angstrom": [[10.590, 0.002, -0.198], [0.002, 10.626, -0.014], [-0.192, -0.006, 11.423]],
  "species": ["Ta", "Ta", "Ta", "Ta", "N", "N", "Ta", "N", "N", "Ta", "Ta", "Ta", "N", "Ta", "Ta", "N", "N", "Ta", "Ta", "Ta", "N", "N", "Ta", "N", "Ta", "N", "Ta", "Ta", "N", "N", "Ta", "Ta", "N", "Ta", "N", "N", "Ta", "N", "N", "Ta", "N", "N", "Ta", "Ta", "Ta", "N", "N", "Ta", "N", "Ta", "Ta", "N", "Ta", "N", "N", "Ta", "N", "Ta", "Ta", "N", "Ta", "N", "N", "N", "Ta", "N", "Ta", "Ta", "Ta", "N", "Ta", "N", "N", "N", "N", "Ta", "N", "Ta", "N", "Ta", "N", "Ta", "N", "N", "N", "N", "N", "Ta", "N", "N", "N", "N", "Ta", "Ta", "Ta", "Ta", "Ta", "N", "Ta", "Ta"],
  "fractional_positions": [[0.863, 0.366, 0.526], [0.336, 0.036, 0.346], [0.870, 0.862, 0.581], [0.832, 0.596, 0.122], [0.202, 0.665, 0.008], [0.000, 0.260, 0.436], [0.384, 0.306, 0.319], [0.246, 0.767, 0.219], [0.487, 0.823, 0.721], [0.575, 0.735, 0.972], [0.140, 0.886, 0.500], [0.633, 0.943, 0.727], [0.780, 0.117, 0.752], [0.308, 0.689, 0.373], [0.821, 0.718, 0.342], [0.260, 0.910, 0.655], [0.549, 0.368, 0.234], [0.420, 0.876, 0.552], [0.840, 0.839, 0.864], [0.158, 0.339, 0.490], [0.783, 0.720, 0.995], [0.341, 0.672, 0.553], [0.103, 0.767, 0.776], [0.720, 0.790, 0.474], [0.012, 0.305, 0.995], [0.877, 0.414, 0.888], [0.985, 0.122, 0.694], [0.472, 0.207, 0.791], [0.012, 0.181, 0.862], [0.534, 0.031, 0.863], [0.437, 0.482, 0.539], [0.262, 0.472, 0.005], [0.022, 0.468, 0.576], [0.742, 0.113, 0.575], [0.066, 0.122, 0.260], [0.355, 0.151, 0.982], [0.067, 0.813, 0.262], [0.146, 0.399, 0.874], [0.291, 0.199, 0.450], [0.934, 0.075, 0.410], [0.191, 0.897, 0.890], [0.322, 0.002, 0.170], [0.777, 0.313, 0.760], [0.216, 0.205, 0.868], [0.494, 0.027, 0.049], [0.214, 0.508, 0.391], [0.713, 0.585, 0.256], [0.641, 0.947, 0.372], [0.053, 0.918, 0.110], [0.286, 0.408, 0.734], [0.950, 0.302, 0.260], [0.432, 0.319, 0.644], [0.258, 0.104, 0.614], [0.288, 0.371, 0.164], [0.443, 0.614, 0.260], [0.708, 0.622, 0.576], [0.581, 0.933, 0.191], [0.715, 0.098, 0.923], [0.230, 0.868, 0.065], [0.981, 0.639, 0.266], [0.458, 0.295, 0.084], [0.625, 0.179, 0.086], [0.194, 0.594, 0.733], [0.627, 0.291, 0.874], [0.493, 0.181, 0.533], [0.504, 0.130, 0.344], [0.399, 0.653, 0.737], [0.515, 0.454, 0.908], [0.009, 0.490, 0.763], [0.785, 0.349, 0.358], [0.198, 0.187, 0.148], [0.845, 0.980, 0.997], [0.572, 0.613, 0.836], [0.959, 0.865, 0.407], [0.804, 0.487, 0.679], [0.746, 0.868, 0.129], [0.755, 0.774, 0.705], [0.444, 0.796, 0.195], [0.583, 0.995, 0.547], [0.359, 0.928, 0.817], [0.075, 0.050, 0.548], [0.640, 0.462, 0.373], [0.152, 0.261, 0.665], [0.977, 0.936, 0.758], [0.790, 0.021, 0.268], [0.922, 0.427, 0.122], [0.043, 0.756, 0.601], [0.115, 0.494, 0.221], [0.450, 0.855, 0.373], [0.134, 0.596, 0.076], [0.958, 0.661, 0.825], [0.545, 0.597, 0.629], [0.770, 0.584, 0.844], [0.039, 0.005, 0.932], [0.682, 0.199, 0.279], [0.920, 0.078, 0.147], [0.748, 0.337, 0.033], [0.423, 0.844, 0.004], [0.150, 0.606, 0.553], [0.559, 0.549, 0.145]]
}

---

{
  "formula": "K2TeBr6",
  "functional": "GGA-PBE",
  "state": "relaxed",
  "crystal_system": "cubic",
  "e_form_ev_per_atom": -1.375,
  "lattice_angstrom": [[0.000, 5.467, 5.467], [5.467, 0.000, 5.467], [5.467, 5.467, 0.000]],
  "species": ["K", "Te", "K", "Br", "Br", "Br", "Br", "Br", "Br"],
  "fractional_positions": [[0.250, 0.250, 0.250], [0.000, 0.000, 0.000], [0.750, 0.750, 0.750], [0.750, 0.250, 0.750], [0.250, 0.250, 0.750], [0.750, 0.250, 0.250], [0.250, 0.750, 0.250], [0.750, 0.750, 0.250], [0.250, 0.750, 0.750]]
}

---

Question: What is the formula in the third record?
Answer: CdGaCu3Se4